Record 1
Compound: Na12Ta2Zn10Si3S15O72
Source: Materials Project
Functional: PBE
Structure: optimized geometry

Crystal system: triclinic
Formation enthalpy at 0 K, eV/atom: -2.12
Size of the total moment, μB/f.u.: 0.0
Electronic total energy, eV/atom: -5.957

a b c (Å): 8.858 8.927 22.553
angles (deg): 89.69 90.63 119.74
Element x y z (fractional)
Na1 0.301 0.336 0.579
Na2 0.671 0.969 0.591
Na3 0.297 0.969 0.090
Na4 0.030 0.333 0.083
Na5 0.331 0.045 0.410
Na6 0.694 0.657 0.416
Na7 0.009 0.013 0.498
Na8 0.988 0.991 0.996
Na9 0.671 0.321 0.829
Na10 0.653 0.322 0.328
Na11 0.343 0.677 0.165
Na12 0.329 0.673 0.665
Ta1 0.333 0.662 0.312
Ta2 0.341 0.672 0.812
Zn1 0.031 0.031 0.346
Zn2 0.994 0.004 0.846
Zn3 0.986 0.988 0.660
Zn4 0.001 0.986 0.159
Zn5 0.672 0.324 0.687
Zn6 0.650 0.322 0.186
Zn7 0.669 0.336 0.981
Zn8 0.660 0.336 0.483
Zn9 0.339 0.667 0.013
Zn10 0.321 0.652 0.514
Si1 0.301 0.007 0.250
Si2 0.715 0.014 0.749
Si3 0.329 0.367 0.421
S1 0.710 0.709 0.252
S2 0.997 0.295 0.249
S3 0.296 0.295 0.751
S4 0.999 0.707 0.752
S5 0.959 0.337 0.583
S6 0.367 0.034 0.582
S7 0.673 0.629 0.584
S8 0.955 0.624 0.083
S9 0.669 0.039 0.083
S10 0.374 0.338 0.081
S11 0.628 0.665 0.918
S12 0.041 0.373 0.918
S13 0.330 0.959 0.917
S14 0.627 0.957 0.417
S15 0.041 0.663 0.417
O1 0.218 0.023 0.311
O2 0.805 0.788 0.307
O3 0.969 0.189 0.302
O4 0.218 0.188 0.803
O5 0.982 0.789 0.805
O6 0.823 0.031 0.808
O7 0.769 0.960 0.687
O8 0.192 0.229 0.695
O9 0.045 0.814 0.698
O10 0.776 0.817 0.199
O11 0.032 0.228 0.194
O12 0.189 0.961 0.188
O13 0.878 0.356 0.636
O14 0.481 0.118 0.634
O15 0.646 0.515 0.635
O16 0.876 0.516 0.136
O17 0.638 0.118 0.135
O18 0.478 0.363 0.136
O19 0.455 0.308 0.029
O20 0.854 0.542 0.028
O21 0.699 0.147 0.029
O22 0.441 0.137 0.527
O23 0.690 0.553 0.527
O24 0.850 0.309 0.528
O25 0.547 0.691 0.971
O26 0.140 0.453 0.974
O27 0.308 0.859 0.972
O28 0.550 0.856 0.472
O29 0.311 0.452 0.481
O30 0.154 0.703 0.470
O31 0.136 0.648 0.363
O32 0.505 0.865 0.365
O33 0.356 0.503 0.364
O34 0.137 0.488 0.866
O35 0.349 0.859 0.865
O36 0.511 0.648 0.864
O37 0.011 0.811 0.410
O38 0.794 0.964 0.408
O39 0.161 0.175 0.416
O40 0.029 0.204 0.913
O41 0.174 0.974 0.908
O42 0.800 0.817 0.911
O43 0.982 0.181 0.586
O44 0.194 0.022 0.590
O45 0.829 0.804 0.588
O46 0.977 0.801 0.086
O47 0.829 0.023 0.090
O48 0.196 0.181 0.086
O49 0.672 0.168 0.746
O50 0.475 0.333 0.744
O51 0.849 0.535 0.744
O52 0.687 0.536 0.245
O53 0.854 0.332 0.243
O54 0.496 0.170 0.246
O55 0.632 0.502 0.919
O56 0.868 0.362 0.919
O57 0.492 0.128 0.919
O58 0.639 0.127 0.419
O59 0.512 0.358 0.419
O60 0.874 0.502 0.419
O61 0.349 0.491 0.076
O62 0.136 0.644 0.079
O63 0.508 0.865 0.076
O64 0.354 0.861 0.577
O65 0.514 0.651 0.581
O66 0.137 0.493 0.580
O67 0.317 0.824 0.261
O68 0.524 0.687 0.258
O69 0.164 0.472 0.258
O70 0.305 0.473 0.761
O71 0.160 0.682 0.761
O72 0.511 0.826 0.763

=====

Record 2
Compound: MgTiMoS4
Source: Materials Project
Functional: PBE
Structure: optimized geometry

Crystal system: orthorhombic
Formation enthalpy at 0 K, eV/atom: -1.26
Size of the total moment, μB/f.u.: 2.0
Electronic total energy, eV/atom: -6.239

a b c (Å): 7.220 7.327 7.327
angles (deg): 61.59 60.47 60.48
Element x y z (fractional)
Mg1 0.872 0.878 0.878
Mg2 0.128 0.122 0.122
Ti1 0.500 0.500 0.500
Ti2 0.000 0.500 0.500
Mo1 0.500 0.500 0.000
Mo2 0.500 0.000 0.500
S1 0.739 0.740 0.740
S2 0.257 0.264 0.722
S3 0.257 0.722 0.264
S4 0.720 0.260 0.260
S5 0.743 0.278 0.736
S6 0.280 0.740 0.740
S7 0.261 0.260 0.260
S8 0.743 0.736 0.278

=====

Record 3
Compound: P2H24AuC8I
Source: Materials Project
Functional: PBE
Structure: optimized geometry

Crystal system: orthorhombic
Formation enthalpy at 0 K, eV/atom: -0.19
Size of the total moment, μB/f.u.: 0.0
Electronic total energy, eV/atom: -4.921

a b c (Å): 11.754 11.754 7.856
angles (deg): 90.00 90.00 119.25
Element x y z (fractional)
P1 0.511 0.807 0.250
P2 0.807 0.511 0.750
P3 0.489 0.193 0.750
P4 0.193 0.489 0.250
H1 0.691 0.722 0.250
H2 0.722 0.691 0.750
H3 0.309 0.278 0.750
H4 0.278 0.309 0.250
H5 0.643 0.573 0.137
H6 0.573 0.643 0.863
H7 0.643 0.573 0.363
H8 0.573 0.643 0.637
H9 0.357 0.427 0.863
H10 0.427 0.357 0.137
H11 0.357 0.427 0.637
H12 0.427 0.357 0.363
H13 0.666 0.990 0.416
H14 0.990 0.666 0.584
H15 0.666 0.990 0.084
H16 0.990 0.666 0.916
H17 0.334 0.010 0.584
H18 0.010 0.334 0.416
H19 0.334 0.010 0.916
H20 0.010 0.334 0.084
H21 0.689 0.851 0.446
H22 0.851 0.689 0.554
H23 0.689 0.851 0.054
H24 0.851 0.689 0.946
H25 0.311 0.149 0.554
H26 0.149 0.311 0.446
H27 0.311 0.149 0.946
H28 0.149 0.311 0.054
H29 0.556 0.857 0.550
H30 0.857 0.556 0.450
H31 0.556 0.857 0.950
H32 0.857 0.556 0.050
H33 0.444 0.143 0.450
H34 0.143 0.444 0.550
H35 0.444 0.143 0.050
H36 0.143 0.444 0.950
H37 0.343 0.846 0.365
H38 0.846 0.343 0.635
H39 0.343 0.846 0.135
H40 0.846 0.343 0.865
H41 0.657 0.154 0.635
H42 0.154 0.657 0.365
H43 0.657 0.154 0.865
H44 0.154 0.657 0.135
H45 0.465 0.984 0.250
H46 0.984 0.465 0.750
H47 0.535 0.016 0.750
H48 0.016 0.535 0.250
Au1 0.427 0.573 0.250
Au2 0.573 0.427 0.750
C1 0.624 0.616 0.250
C2 0.616 0.624 0.750
C3 0.376 0.384 0.750
C4 0.384 0.376 0.250
C5 0.616 0.883 0.434
C6 0.883 0.616 0.566
C7 0.616 0.883 0.066
C8 0.883 0.616 0.934
C9 0.384 0.117 0.566
C10 0.117 0.384 0.434
C11 0.384 0.117 0.934
C12 0.117 0.384 0.066
C13 0.404 0.877 0.250
C14 0.877 0.404 0.750
C15 0.596 0.123 0.750
C16 0.123 0.596 0.250
I1 0.726 0.274 0.250
I2 0.274 0.726 0.750

=====

Record 4
Compound: Na3MgCu2O4
Source: Materials Project
Functional: PBE
Structure: optimized geometry

Crystal system: monoclinic
Formation enthalpy at 0 K, eV/atom: -1.41
Size of the total moment, μB/f.u.: 1.0
Electronic total energy, eV/atom: -4.494

a b c (Å): 5.779 5.779 8.043
angles (deg): 75.33 104.67 149.42
Element x y z (fractional)
Na1 0.373 0.627 0.064
Na2 0.083 0.917 0.572
Na3 0.631 0.369 0.907
Mg1 0.366 0.634 0.383
Cu1 0.122 0.878 0.252
Cu2 0.842 0.158 0.721
O1 0.250 0.750 0.800
O2 0.436 0.564 0.639
O3 0.529 0.471 0.314
O4 0.771 0.229 0.239

=====

Record 5
Compound: WN
Source: Materials Project
Functional: PBE
Structure: optimized geometry

Crystal system: cubic
Formation enthalpy at 0 K, eV/atom: 0.02
Size of the total moment, μB/f.u.: 0.0
Electronic total energy, eV/atom: -10.448

a b c (Å): 3.305 3.305 3.305
angles (deg): 60.00 60.00 60.00
Element x y z (fractional)
W1 0.000 0.000 0.000
N1 0.250 0.250 0.250

=====

Record 6
Compound: Er2PbS4
Source: Materials Project
Functional: PBE
Structure: optimized geometry

Crystal system: orthorhombic
Formation enthalpy at 0 K, eV/atom: -1.92
Size of the total moment, μB/f.u.: 0.0
Electronic total energy, eV/atom: -5.830

a b c (Å): 14.873 14.873 12.133
angles (deg): 90.00 90.00 149.09
Element x y z (fractional)
Er1 0.069 0.931 0.587
Er2 0.931 0.069 0.087
Er3 0.674 0.326 0.065
Er4 0.326 0.674 0.565
Er5 0.570 0.430 0.579
Er6 0.430 0.570 0.079
Er7 0.175 0.825 0.068
Er8 0.825 0.175 0.568
Er9 0.931 0.569 0.714
Er10 0.431 0.069 0.714
Er11 0.069 0.431 0.214
Er12 0.569 0.931 0.214
Er13 0.827 0.674 0.231
Er14 0.326 0.173 0.231
Er15 0.173 0.326 0.731
Er16 0.674 0.827 0.731
Pb1 0.538 0.462 0.881
Pb2 0.462 0.538 0.381
Pb3 0.046 0.954 0.934
Pb4 0.954 0.046 0.434
Pb5 0.958 0.541 0.403
Pb6 0.459 0.042 0.403
Pb7 0.042 0.459 0.903
Pb8 0.541 0.958 0.903
S1 0.862 0.639 0.022
S2 0.361 0.138 0.022
S3 0.138 0.361 0.522
S4 0.639 0.862 0.522
S5 0.664 0.336 0.560
S6 0.336 0.664 0.060
S7 0.982 0.515 0.119
S8 0.485 0.018 0.119
S9 0.018 0.485 0.619
S10 0.515 0.982 0.619
S11 0.019 0.981 0.163
S12 0.981 0.019 0.663
S13 0.835 0.660 0.732
S14 0.340 0.165 0.732
S15 0.165 0.340 0.232
S16 0.660 0.835 0.232
S17 0.209 0.791 0.855
S18 0.791 0.209 0.355
S19 0.515 0.485 0.183
S20 0.485 0.515 0.683
S21 0.639 0.361 0.274
S22 0.361 0.639 0.774
S23 0.163 0.837 0.562
S24 0.837 0.163 0.062
S25 0.709 0.291 0.854
S26 0.291 0.709 0.354
S27 0.792 0.712 0.442
S28 0.288 0.208 0.442
S29 0.208 0.288 0.942
S30 0.712 0.792 0.942
S31 0.139 0.861 0.276
S32 0.861 0.139 0.776

=====

Record 7
Compound: Ba2FeBiS5
Source: Materials Project
Functional: PBE
Structure: optimized geometry

Crystal system: orthorhombic
Formation enthalpy at 0 K, eV/atom: -1.44
Size of the total moment, μB/f.u.: 5.0
Electronic total energy, eV/atom: -5.263

a b c (Å): 8.952 8.980 12.265
angles (deg): 90.00 90.00 90.00
Element x y z (fractional)
Ba1 0.617 0.509 0.323
Ba2 0.883 0.991 0.823
Ba3 0.383 0.009 0.677
Ba4 0.117 0.491 0.177
Ba5 0.383 0.491 0.677
Ba6 0.117 0.009 0.177
Ba7 0.617 0.991 0.323
Ba8 0.883 0.509 0.823
Fe1 0.828 0.750 0.095
Fe2 0.672 0.750 0.595
Fe3 0.172 0.250 0.905
Fe4 0.328 0.250 0.405
Bi1 0.468 0.750 0.017
Bi2 0.032 0.750 0.517
Bi3 0.532 0.250 0.983
Bi4 0.968 0.250 0.483
S1 0.682 0.547 0.055
S2 0.818 0.953 0.555
S3 0.318 0.047 0.945
S4 0.182 0.453 0.445
S5 0.318 0.453 0.945
S6 0.182 0.047 0.445
S7 0.682 0.953 0.055
S8 0.818 0.547 0.555
S9 0.373 0.750 0.215
S10 0.127 0.750 0.715
S11 0.627 0.250 0.785
S12 0.873 0.250 0.285
S13 0.883 0.750 0.273
S14 0.617 0.750 0.773
S15 0.117 0.250 0.727
S16 0.383 0.250 0.227
S17 0.466 0.750 0.496
S18 0.034 0.750 0.996
S19 0.534 0.250 0.504
S20 0.966 0.250 0.004

=====

Record 8
Compound: LiMg6Mo
Source: Materials Project
Functional: PBE
Structure: optimized geometry

Crystal system: orthorhombic
Formation enthalpy at 0 K, eV/atom: 0.14
Size of the total moment, μB/f.u.: 0.0
Electronic total energy, eV/atom: -2.650

a b c (Å): 6.099 6.099 4.339
angles (deg): 90.00 90.00 91.51
Element x y z (fractional)
Li1 0.632 0.368 0.000
Mg1 0.623 0.872 0.000
Mg2 0.128 0.377 0.000
Mg3 0.880 0.633 0.500
Mg4 0.367 0.120 0.500
Mg5 0.893 0.107 0.500
Mg6 0.354 0.646 0.500
Mo1 0.123 0.877 0.000

=====

Record 9
Compound: MnP4
Source: Materials Project
Functional: PBE
Structure: optimized geometry

Crystal system: monoclinic
Formation enthalpy at 0 K, eV/atom: -0.36
Size of the total moment, μB/f.u.: 0.0
Electronic total energy, eV/atom: -6.523

a b c (Å): 5.104 5.858 10.882
angles (deg): 88.37 86.25 64.18
Element x y z (fractional)
Mn1 0.015 0.544 0.976
Mn2 0.560 0.456 0.476
Mn3 0.906 0.200 0.254
Mn4 0.106 0.800 0.754
P1 0.056 0.506 0.194
P2 0.562 0.494 0.694
P3 0.449 0.507 0.275
P4 0.956 0.493 0.775
P5 0.773 0.889 0.276
P6 0.662 0.111 0.776
P7 0.368 0.900 0.211
P8 0.268 0.100 0.711
P9 0.009 0.144 0.451
P10 0.154 0.856 0.951
P11 0.873 0.231 0.042
P12 0.104 0.769 0.542
P13 0.712 0.760 0.466
P14 0.472 0.240 0.966
P15 0.559 0.836 0.017
P16 0.395 0.164 0.517

=====

Record 10
Compound: Li4SbTe3O12
Source: Materials Project
Functional: PBE
Structure: optimized geometry

Crystal system: monoclinic
Formation enthalpy at 0 K, eV/atom: -1.82
Size of the total moment, μB/f.u.: 1.0
Electronic total energy, eV/atom: -5.435

a b c (Å): 9.116 5.133 5.235
angles (deg): 85.78 90.00 90.00
Element x y z (fractional)
Li1 0.318 0.000 0.000
Li2 0.151 0.500 0.000
Li3 0.677 0.000 0.500
Li4 0.833 0.500 0.500
Sb1 0.897 0.000 0.000
Te1 0.595 0.500 0.000
Te2 0.085 0.000 0.500
Te3 0.400 0.500 0.500
O1 0.751 0.236 0.820
O2 0.436 0.288 0.851
O3 0.058 0.218 0.796
O4 0.562 0.710 0.654
O5 0.920 0.795 0.686
O6 0.225 0.792 0.696
O7 0.225 0.208 0.304
O8 0.920 0.205 0.314
O9 0.562 0.290 0.346
O10 0.058 0.782 0.204
O11 0.436 0.712 0.149
O12 0.751 0.764 0.180

=====

Record 11
Compound: P3H
Source: Materials Project
Functional: PBE
Structure: optimized geometry

Crystal system: cubic
Formation enthalpy at 0 K, eV/atom: 0.78
Size of the total moment, μB/f.u.: 0.0
Electronic total energy, eV/atom: -4.081

a b c (Å): 4.058 4.058 4.058
angles (deg): 60.00 60.00 60.00
Element x y z (fractional)
P1 0.750 0.750 0.750
P2 0.250 0.250 0.250
P3 0.500 0.500 0.500
H1 0.000 0.000 0.000